Record 1
Material: WN2
Method: DFT, PBE
State: relaxed

Energy ... -30.22 eV per formula unit
E (MP2020) ... -92.82 eV per cell
Calculated volume ... 20.35 Å³ per atom
E_form ... -437 meV/atom
Largest piezoelectric modulus ... 0.2 C/m²

The structure in extended XYZ format:
```
9
Lattice="2.890 -5.006 0.000 2.890 5.006 0.000 0.000 0.000 6.331" Properties=species:S:1:pos:R:3 pbc="T T T"
W 1.372 2.376 4.220
W 3.037 0.000 0.000
W 1.372 -2.376 2.110
N 2.617 2.898 2.938
N 1.962 0.818 5.048
N 4.091 1.290 0.828
N 1.962 -0.818 1.283
N 4.091 -1.290 5.503
N 2.617 -2.898 3.393
```

---

Record 2
Material: ErH3
Method: DFT, PBE
State: relaxed

Polymorph energy (0 for the lowest one) ... 195 meV per atom
Energy ... -16.37 eV per formula unit
E (MP2020) ... -33.81 eV per cell
Calculated volume ... 8.22 Å³ per atom
E_form ... -540 meV/atom

The structure in extended XYZ format:
```
8
Lattice="0.437 3.489 -0.503 -2.574 -1.176 2.146 3.800 0.197 4.666" Properties=species:S:1:pos:R:3 pbc="T T T"
Er -0.621 0.428 2.430
Er 2.283 2.082 3.879
H 1.900 0.098 2.333
H 0.000 0.000 0.000
H 1.859 0.557 5.475
H -0.197 1.953 0.834
H 0.963 2.013 2.259
H 0.699 0.497 4.050
```

---

Which value of energy does entry 2 give?
-16.37 eV per formula unit

---

Among the records above, which one has the lowest calculated volume?
ErH3

---

Which of these has the highest energy?
ErH3

---

Number 1 is which compound?
WN2